The following is a PBE calculation of a relaxed structure of Mg30TiBiO32, from the Materials Project.

Summary:
ΔH_f (0 K)	-2883.7	meV per atom
symmetry	P4/mmm, No. 123
volume	10.1	Å³/atom

abc: 8.648 8.648 8.636
angles: 90.00 90.00 90.00
Fractional positions:
Mg: 0.000 0.000 0.000
Mg: 0.000 0.249 0.249
Mg: 0.000 0.249 0.751
Mg: 0.000 0.500 0.000
Mg: 0.000 0.500 0.500
Mg: 0.000 0.751 0.249
Mg: 0.000 0.751 0.751
Mg: 0.242 0.242 0.500
Mg: 0.242 0.758 0.500
Mg: 0.243 0.500 0.243
Mg: 0.243 0.500 0.757
Mg: 0.249 0.000 0.249
Mg: 0.249 0.000 0.751
Mg: 0.249 0.249 0.000
Mg: 0.249 0.751 0.000
Mg: 0.500 0.000 0.000
Mg: 0.500 0.000 0.500
Mg: 0.500 0.243 0.243
Mg: 0.500 0.243 0.757
Mg: 0.500 0.500 0.000
Mg: 0.500 0.757 0.243
Mg: 0.500 0.757 0.757
Mg: 0.751 0.000 0.249
Mg: 0.751 0.000 0.751
Mg: 0.751 0.249 0.000
Mg: 0.751 0.751 0.000
Mg: 0.757 0.500 0.243
Mg: 0.757 0.500 0.757
Mg: 0.758 0.242 0.500
Mg: 0.758 0.758 0.500
Ti: 0.000 0.000 0.500
Bi: 0.500 0.500 0.500
O: 0.000 0.000 0.242
O: 0.000 0.000 0.758
O: 0.000 0.251 0.000
O: 0.000 0.258 0.500
O: 0.000 0.500 0.246
O: 0.000 0.500 0.754
O: 0.000 0.742 0.500
O: 0.000 0.749 0.000
O: 0.233 0.500 0.500
O: 0.248 0.500 0.000
O: 0.251 0.000 0.000
O: 0.251 0.251 0.251
O: 0.251 0.251 0.749
O: 0.251 0.749 0.251
O: 0.251 0.749 0.749
O: 0.258 0.000 0.500
O: 0.500 0.000 0.246
O: 0.500 0.000 0.754
O: 0.500 0.233 0.500
O: 0.500 0.248 0.000
O: 0.500 0.500 0.232
O: 0.500 0.500 0.768
O: 0.500 0.752 0.000
O: 0.500 0.767 0.500
O: 0.742 0.000 0.500
O: 0.749 0.000 0.000
O: 0.749 0.251 0.251
O: 0.749 0.251 0.749
O: 0.749 0.749 0.251
O: 0.749 0.749 0.749
O: 0.752 0.500 0.000
O: 0.767 0.500 0.500